Record 1
DFT (PBE) results for an optimized crystal structure of Ti2N2O.

The structure in CIF format:
```
data_Ti2N2O
_chemical_formula_sum 'Ti16 N16 O8'
_symmetry_space_group_name_H-M 'P 1'
_symmetry_Int_Tables_number 1
_cell_length_a 8.215
_cell_length_b 8.219
_cell_length_c 8.227
_cell_angle_alpha 109.49
_cell_angle_beta 109.45
_cell_angle_gamma 109.40
loop_
_symmetry_equiv_pos_as_xyz
'x,y,z'
loop_
_atom_site_label
_atom_site_type_symbol
_atom_site_fract_x
_atom_site_fract_y
_atom_site_fract_z
Ti1 Ti 0.000 0.000 0.000
Ti2 Ti 0.004 0.502 0.490
Ti3 Ti 0.046 0.801 0.330
Ti4 Ti 0.214 0.748 0.048
Ti5 Ti 0.251 0.537 0.281
Ti6 Ti 0.258 0.037 0.767
Ti7 Ti 0.290 0.338 0.529
Ti8 Ti 0.461 0.283 0.227
Ti9 Ti 0.502 0.577 0.065
Ti10 Ti 0.506 0.082 0.576
Ti11 Ti 0.545 0.789 0.824
Ti12 Ti 0.705 0.240 0.026
Ti13 Ti 0.751 0.538 0.793
Ti14 Ti 0.766 0.055 0.298
Ti15 Ti 0.792 0.831 0.522
Ti16 Ti 0.962 0.292 0.745
N1 N 0.019 0.766 0.557
N2 N 0.029 0.267 0.518
N3 N 0.205 0.267 0.240
N4 N 0.212 0.490 0.007
N5 N 0.242 0.081 0.547
N6 N 0.293 0.593 0.556
N7 N 0.302 0.815 0.319
N8 N 0.478 0.991 0.770
N9 N 0.482 0.314 0.008
N10 N 0.522 0.534 0.823
N11 N 0.705 0.030 0.510
N12 N 0.711 0.277 0.293
N13 N 0.764 0.321 0.835
N14 N 0.787 0.801 0.269
N15 N 0.799 0.046 0.054
N16 N 0.977 0.776 0.052
O1 O 0.023 0.085 0.793
O2 O 0.265 0.000 0.020
O3 O 0.470 0.812 0.039
O4 O 0.528 0.309 0.508
O5 O 0.530 0.583 0.337
O6 O 0.741 0.764 0.728
O7 O 0.980 0.496 0.232
O8 O 0.982 0.545 0.737
```

Output
calculated formation energy: -1.983 eV per atom
total magnetization: 0.00 μB/f.u.
energy: -9.3279 eV/atom


Record 2
DFT (PBE) results for an optimized crystal structure of K16Na9Tl18Cd3.

The structure in CIF format:
```
data_K16Na9Tl18Cd3
_chemical_formula_sum 'K32 Na18 Tl36 Cd6'
_symmetry_space_group_name_H-M 'P 63/m m c'
_symmetry_Int_Tables_number 194
_symmetry_space_group_name_Hall '-P 6c 2c'
_cell_length_a 11.4496
_cell_length_b 11.4496
_cell_length_c 30.1514
_cell_angle_alpha 90.00
_cell_angle_beta 90.00
_cell_angle_gamma 120.00
loop_
_atom_site_label
_atom_site_type_symbol
_atom_site_fract_x
_atom_site_fract_y
_atom_site_fract_z
K1 K 0.0737 0.5369 0.1246
K2 K 0.0893 0.5447 0.7500
K3 K 0.1295 0.2589 0.0587
K4 K 0.3333 0.6667 0.2500
Na1 Na 0.0000 0.5000 0.0000
Na2 Na 0.1638 0.3277 0.6527
Tl1 Tl 0.0000 0.0000 0.1599
Tl2 Tl 0.1575 0.3150 0.1968
Tl3 Tl 0.2335 0.4671 0.5547
Tl4 Tl 0.3333 0.6667 0.0305
Tl5 Tl 0.3333 0.6667 0.6402
Cd1 Cd 0.1026 0.2052 0.7500
```

Output
calculated formation energy: -0.126 eV per atom
energy: -1.7555 eV/atom


Record 3
DFT (PBE) results for an optimized crystal structure of WS2N3Cl3.

The structure in CIF format:
```
data_WS2N3Cl3
_chemical_formula_sum 'W4 S8 N12 Cl12'
_symmetry_space_group_name_H-M 'P 1 21/c 1'
_symmetry_Int_Tables_number 14
_cell_length_a 7.795
_cell_length_b 9.564
_cell_length_c 13.284
_cell_angle_alpha 90.00
_cell_angle_beta 120.25
_cell_angle_gamma 90.00
loop_
_symmetry_equiv_pos_as_xyz
'x,y,z'
'-x,-y,-z'
'-x,y+1/2,-z+1/2'
'x,-y+1/2,z+1/2'
loop_
_atom_site_label
_atom_site_type_symbol
_atom_site_fract_x
_atom_site_fract_y
_atom_site_fract_z
W1 W 0.014 0.131 0.413
S1 S 0.242 0.591 0.616
S2 S 0.255 0.689 0.969
N1 N 0.098 0.698 0.631
N2 N 0.112 0.592 0.994
N3 N 0.305 0.664 0.531
Cl1 Cl 0.218 0.099 0.328
Cl2 Cl 0.231 0.515 0.253
Cl3 Cl 0.308 0.212 0.576
```

Output
calculated formation energy: -0.434 eV per atom
total magnetization: 0.00 μB/f.u.
energy: -5.9831 eV/atom


Record 4
DFT (PBE) results for an optimized crystal structure of Ca3TiBe2Si2As6O20.

The structure in CIF format:
```
data_Ca3TiBe2Si2As6O20
_chemical_formula_sum 'Ca6 Ti2 Be4 Si4 As12 O40'
_symmetry_space_group_name_H-M 'P -3 c 1'
_symmetry_Int_Tables_number 165
_symmetry_space_group_name_Hall '-P 3 2"c'
_cell_length_a 8.4324
_cell_length_b 8.4324
_cell_length_c 15.5000
_cell_angle_alpha 90.00
_cell_angle_beta 90.00
_cell_angle_gamma 120.00
loop_
_atom_site_label
_atom_site_type_symbol
_atom_site_fract_x
_atom_site_fract_y
_atom_site_fract_z
Ca1 Ca 0.0000 0.4066 0.2500
Ti1 Ti 0.0000 0.0000 0.2500
Be1 Be 0.3333 0.6667 0.1307
Si1 Si 0.3333 0.6667 0.4271
As1 As 0.0187 0.2963 0.6042
O1 O 0.1062 0.2209 0.3239
O2 O 0.1292 0.5319 0.8833
O3 O 0.1854 0.4651 0.6749
O4 O 0.3333 0.6667 0.0294
```

Output
calculated formation energy: -2.665 eV per atom
total magnetization: 0.00 μB/f.u.
energy: -6.9422 eV/atom


Record 5
DFT (PBE) results for an optimized crystal structure of LiNb2Te4Cl10O.

The structure in CIF format:
```
data_LiNb2Te4Cl10O
_chemical_formula_sum 'Li1 Nb2 Te4 Cl10 O1'
_symmetry_space_group_name_H-M 'P 1'
_symmetry_Int_Tables_number 1
_cell_length_a 6.967
_cell_length_b 8.977
_cell_length_c 9.581
_cell_angle_alpha 81.10
_cell_angle_beta 88.56
_cell_angle_gamma 74.53
loop_
_symmetry_equiv_pos_as_xyz
'x,y,z'
loop_
_atom_site_label
_atom_site_type_symbol
_atom_site_fract_x
_atom_site_fract_y
_atom_site_fract_z
Li1 Li 0.000 0.000 0.000
Nb1 Nb 0.604 0.597 0.686
Nb2 Nb 0.632 0.871 0.959
Te1 Te 0.021 0.055 0.359
Te2 Te 0.205 0.432 0.316
Te3 Te 0.309 0.148 0.489
Te4 Te 0.918 0.339 0.184
Cl1 Cl 0.276 0.769 0.620
Cl2 Cl 0.309 0.053 0.909
Cl3 Cl 0.459 0.460 0.869
Cl4 Cl 0.508 0.737 0.155
Cl5 Cl 0.581 0.426 0.525
Cl6 Cl 0.693 0.063 0.133
Cl7 Cl 0.733 0.763 0.515
Cl8 Cl 0.782 0.039 0.795
Cl9 Cl 0.927 0.453 0.759
Cl10 Cl 0.974 0.727 0.039
O1 O 0.617 0.746 0.831
```

Output
calculated formation energy: -1.103 eV per atom
E above lowest polymorph: 14 meV/atom
total magnetization: 0.97 μB/f.u.
energy: -4.2934 eV/atom


Record 6
DFT (PBE) results for an optimized crystal structure of NaAl6Sb7Te8Cl24.

The structure in CIF format:
```
data_NaAl6Sb7Te8Cl24
_chemical_formula_sum 'Na2 Al12 Sb14 Te16 Cl48'
_symmetry_space_group_name_H-M 'P -1'
_symmetry_Int_Tables_number 2
_cell_length_a 12.670
_cell_length_b 13.094
_cell_length_c 18.889
_cell_angle_alpha 92.57
_cell_angle_beta 90.20
_cell_angle_gamma 105.80
loop_
_symmetry_equiv_pos_as_xyz
'x,y,z'
'-x,-y,-z'
loop_
_atom_site_label
_atom_site_type_symbol
_atom_site_fract_x
_atom_site_fract_y
_atom_site_fract_z
Na1 Na 0.178 0.250 0.286
Al1 Al 0.159 0.395 0.084
Al2 Al 0.199 0.819 0.601
Al3 Al 0.221 0.989 0.146
Al4 Al 0.286 0.538 0.363
Al5 Al 0.302 0.691 0.890
Al6 Al 0.330 0.128 0.406
Sb1 Sb 0.050 0.807 0.341
Sb2 Sb 0.136 0.504 0.706
Sb3 Sb 0.237 0.317 0.549
Sb4 Sb 0.256 0.258 0.757
Sb5 Sb 0.285 0.193 0.965
Sb6 Sb 0.358 0.998 0.799
Sb7 Sb 0.437 0.699 0.153
Te1 Te 0.034 0.380 0.578
Te2 Te 0.040 0.317 0.786
Te3 Te 0.148 0.127 0.625
Te4 Te 0.166 0.063 0.844
Te5 Te 0.340 0.457 0.670
Te6 Te 0.379 0.381 0.888
Te7 Te 0.460 0.185 0.719
Te8 Te 0.475 0.110 0.925
Cl1 Cl 0.070 0.310 0.171
Cl2 Cl 0.097 0.300 0.986
Cl3 Cl 0.110 0.824 0.698
Cl4 Cl 0.110 0.867 0.515
Cl5 Cl 0.123 0.980 0.051
Cl6 Cl 0.125 0.030 0.234
Cl7 Cl 0.133 0.415 0.378
Cl8 Cl 0.146 0.553 0.086
Cl9 Cl 0.157 0.126 0.418
Cl10 Cl 0.158 0.557 0.885
Cl11 Cl 0.206 0.658 0.575
Cl12 Cl 0.245 0.836 0.170
Cl13 Cl 0.252 0.689 0.350
Cl14 Cl 0.267 0.838 0.925
Cl15 Cl 0.330 0.394 0.089
Cl16 Cl 0.342 0.977 0.369
Cl17 Cl 0.359 0.500 0.265
Cl18 Cl 0.360 0.925 0.616
Cl19 Cl 0.365 0.707 0.784
Cl20 Cl 0.376 0.104 0.135
Cl21 Cl 0.393 0.251 0.333
Cl22 Cl 0.395 0.540 0.451
Cl23 Cl 0.405 0.179 0.511
Cl24 Cl 0.420 0.663 0.964
```

Output
calculated formation energy: -1.370 eV per atom
total magnetization: 0.13 μB/f.u.
energy: -3.7068 eV/atom


Record 7
DFT (PBE) results for an optimized crystal structure of CrAu.

The structure in CIF format:
```
data_CrAu
_chemical_formula_sum 'Cr3 Au3'
_symmetry_space_group_name_H-M 'R -3 m'
_symmetry_Int_Tables_number 166
_symmetry_space_group_name_Hall '-R 3 2"'
_cell_length_a 2.9600
_cell_length_b 2.9600
_cell_length_c 13.0895
_cell_angle_alpha 90.00
_cell_angle_beta 90.00
_cell_angle_gamma 120.00
loop_
_atom_site_label
_atom_site_type_symbol
_atom_site_fract_x
_atom_site_fract_y
_atom_site_fract_z
Cr1 Cr 0.0000 0.0000 0.0000
Au1 Au 0.0000 0.0000 0.5000
```

Output
calculated formation energy: 0.472 eV per atom
total magnetization: 3.22 μB/f.u.
energy: -5.9917 eV/atom